(1)
The following is a PBE calculation of crystalline CaSn2S5 at its relaxed geometry, from the Materials Project database.

Its total energy is -4.49 eV per atom. As for the calculated volume: 922 Å³ per cell. Its formation energy is -967 meV/atom. As for the energy above the most stable polymorph in this dataset: 82 meV/atom.

The structure in CIF format:
```
data_CaSn2S5
_chemical_formula_sum 'Ca4 Sn8 S20'
_space_group_name_H-M_alt 'P 1 21/c 1'
_space_group_IT_number 14
_cell_length_a 10.5124
_cell_length_b 7.1374
_cell_length_c 12.8816
_cell_angle_alpha 90.00
_cell_angle_beta 107.46
_cell_angle_gamma 90.00
loop_
_space_group_symop_operation_xyz
'x,y,z'
'-x,-y,-z'
'-x,y+1/2,-z+1/2'
'x,-y+1/2,z+1/2'
loop_
_atom_site_label
_atom_site_fract_x
_atom_site_fract_y
_atom_site_fract_z
Ca1 0.0568 0.2089 0.1730
Sn1 0.3239 0.0627 0.4660
Sn2 0.3682 0.6090 0.3063
S1 0.0982 0.5134 0.4987
S2 0.1848 0.6068 0.8022
S3 0.2052 0.1153 0.8736
S4 0.2287 0.0599 0.6162
S5 0.4724 0.7256 0.0419
```

***

(2)
The following is a PBE calculation of crystalline CaSnS3 at its relaxed geometry, from the Materials Project database.

Its total energy is -4.62 eV per atom. As for the calculated volume: 1095 Å³ per cell. Its formation energy is -1235 meV/atom. As for the energy above the most stable polymorph in this dataset: 86 meV/atom.

The structure in CIF format:
```
data_CaSnS3
_chemical_formula_sum 'Ca8 Sn8 S24'
_space_group_name_H-M_alt 'P 1 21/c 1'
_space_group_IT_number 14
_cell_length_a 9.2612
_cell_length_b 7.6876
_cell_length_c 16.8588
_cell_angle_alpha 90.00
_cell_angle_beta 114.16
_cell_angle_gamma 90.00
loop_
_space_group_symop_operation_xyz
'x,y,z'
'-x,-y,-z'
'-x,y+1/2,-z+1/2'
'x,-y+1/2,z+1/2'
loop_
_atom_site_label
_atom_site_fract_x
_atom_site_fract_y
_atom_site_fract_z
Ca1 0.2337 0.0991 0.1282
Ca2 0.2409 0.5764 0.3517
Sn1 0.1251 0.0891 0.4003
Sn2 0.4418 0.6521 0.1287
S1 0.0248 0.1613 0.6687
S2 0.0371 0.1207 0.9046
S3 0.2793 0.0695 0.3116
S4 0.3195 0.1118 0.5503
S5 0.3916 0.5955 0.5425
S6 0.4344 0.6772 0.2672
```

***

(3)
The following is a PBE calculation of crystalline CaSnS3 at its relaxed geometry, from the Materials Project database.

Its total energy is -4.30 eV per atom. As for the calculated volume: 266 Å³ per cell. Its formation energy is -913 meV/atom. As for the energy above the most stable polymorph in this dataset: 408 meV/atom.

The structure in CIF format:
```
data_CaSnS3
_chemical_formula_sum 'Ca2 Sn2 S6'
_space_group_name_H-M_alt 'A m m 2'
_space_group_IT_number 38
_cell_length_a 3.9228
_cell_length_b 8.1013
_cell_length_c 8.3614
_cell_angle_alpha 90.00
_cell_angle_beta 90.00
_cell_angle_gamma 90.00
loop_
_space_group_symop_operation_xyz
'x,y,z'
'-x,-y,z'
'-x,y,z'
'x,-y,z'
'x,y+1/2,z+1/2'
'-x,-y+1/2,z+1/2'
'-x,y+1/2,z+1/2'
'x,-y+1/2,z+1/2'
loop_
_atom_site_label
_atom_site_fract_x
_atom_site_fract_y
_atom_site_fract_z
Ca1 0.0000 0.0000 0.0000
Sn1 0.5000 0.0000 0.5934
S1 0.5000 0.0000 0.2521
S2 0.5000 0.2042 0.8244
```

***

(4)
The following is a PBE calculation of crystalline CaSnS3 at its relaxed geometry, from the Materials Project database.

Its total energy is -4.69 eV per atom. As for the calculated volume: 550 Å³ per cell. Its formation energy is -1305 meV/atom. As for the energy above the most stable polymorph in this dataset: 16 meV/atom.

The structure in CIF format:
```
data_CaSnS3
_chemical_formula_sum 'Ca4 Sn4 S12'
_space_group_name_H-M_alt 'P 1 21/c 1'
_space_group_IT_number 14
_cell_length_a 7.4232
_cell_length_b 10.2086
_cell_length_c 7.3597
_cell_angle_alpha 90.00
_cell_angle_beta 99.35
_cell_angle_gamma 90.00
loop_
_space_group_symop_operation_xyz
'x,y,z'
'-x,-y,-z'
'-x,y+1/2,-z+1/2'
'x,-y+1/2,z+1/2'
loop_
_atom_site_label
_atom_site_fract_x
_atom_site_fract_y
_atom_site_fract_z
Ca1 0.0937 0.0975 0.2525
Sn1 0.3422 0.6981 0.5090
S1 0.0736 0.6645 0.9315
S2 0.2279 0.0150 0.9377
S3 0.4513 0.2247 0.6982
```

***

(5)
The following is a PBE calculation of crystalline CaSnS3 at its relaxed geometry, from the Materials Project database.

Its total energy is -4.28 eV per atom. As for the calculated volume: 263 Å³ per cell. Its formation energy is -893 meV/atom. As for the energy above the most stable polymorph in this dataset: 428 meV/atom.

The structure in CIF format:
```
data_CaSnS3
_chemical_formula_sum 'Ca2 Sn2 S6'
_space_group_name_H-M_alt 'A m m 2'
_space_group_IT_number 38
_cell_length_a 4.1201
_cell_length_b 7.2581
_cell_length_c 8.7997
_cell_angle_alpha 90.00
_cell_angle_beta 90.00
_cell_angle_gamma 90.00
loop_
_space_group_symop_operation_xyz
'x,y,z'
'-x,-y,z'
'-x,y,z'
'x,-y,z'
'x,y+1/2,z+1/2'
'-x,-y+1/2,z+1/2'
'-x,y+1/2,z+1/2'
'x,-y+1/2,z+1/2'
loop_
_atom_site_label
_atom_site_fract_x
_atom_site_fract_y
_atom_site_fract_z
Ca1 0.0000 0.0000 0.0000
Sn1 0.5000 0.0000 0.3644
S1 0.5000 0.0000 0.7923
S2 0.5000 0.2415 0.5720
```

***

(6)
The following is a PBE calculation of crystalline CaSn2S5 at its relaxed geometry, from the Materials Project database.

Its total energy is -4.56 eV per atom. As for the calculated volume: 802 Å³ per cell. Its formation energy is -1041 meV/atom. As for the energy above the most stable polymorph in this dataset: 8 meV/atom.

The structure in CIF format:
```
data_CaSn2S5
_chemical_formula_sum 'Ca4 Sn8 S20'
_space_group_name_H-M_alt 'P -1'
_space_group_IT_number 2
_cell_length_a 8.5314
_cell_length_b 9.9386
_cell_length_c 10.2136
_cell_angle_alpha 68.35
_cell_angle_beta 87.45
_cell_angle_gamma 85.23
loop_
_space_group_symop_operation_xyz
'x,y,z'
'-x,-y,-z'
loop_
_atom_site_label
_atom_site_fract_x
_atom_site_fract_y
_atom_site_fract_z
Ca1 0.1441 0.0253 0.2165
Ca2 0.3208 0.5002 0.3032
Sn1 0.0000 0.5000 0.0000
Sn2 0.1326 0.6974 0.5620
Sn3 0.2586 0.2464 0.7535
Sn4 0.3734 0.8008 0.9390
Sn5 0.5000 0.0000 0.5000
S1 0.0491 0.7058 0.3343
S2 0.0707 0.3322 0.2600
S3 0.1136 0.2734 0.9636
S4 0.1623 0.9899 0.8882
S5 0.2051 0.9418 0.5152
S6 0.2957 0.5560 0.9996
S7 0.3435 0.5086 0.6179
S8 0.3779 0.2280 0.5312
S9 0.4252 0.1620 0.2407
S10 0.4468 0.7994 0.1679
```

***

(7)
The following is a PBE calculation of crystalline CaSnS3 at its relaxed geometry, from the Materials Project database.

Its total energy is -4.66 eV per atom. As for the calculated volume: 1791 Å³ per cell. Its formation energy is -1279 meV/atom. As for the energy above the most stable polymorph in this dataset: 42 meV/atom.

The structure in CIF format:
```
data_CaSnS3
_chemical_formula_sum 'Ca12 Sn12 S36'
_space_group_name_H-M_alt 'P 1 21/c 1'
_space_group_IT_number 14
_cell_length_a 9.3322
_cell_length_b 9.6094
_cell_length_c 20.0612
_cell_angle_alpha 90.00
_cell_angle_beta 95.49
_cell_angle_gamma 90.00
loop_
_space_group_symop_operation_xyz
'x,y,z'
'-x,-y,-z'
'-x,y+1/2,-z+1/2'
'x,-y+1/2,z+1/2'
loop_
_atom_site_label
_atom_site_fract_x
_atom_site_fract_y
_atom_site_fract_z
Ca1 0.0306 0.1248 0.2669
Ca2 0.2561 0.6199 0.6092
Ca3 0.2579 0.1309 0.6094
Sn1 0.2126 0.1499 0.9129
Sn2 0.2129 0.5991 0.9159
Sn3 0.4466 0.6256 0.2952
S1 0.0099 0.1001 0.8343
S2 0.0107 0.6509 0.8379
S3 0.2096 0.1242 0.0287
S4 0.2221 0.6228 0.0334
S5 0.2731 0.6257 0.1999
S6 0.2814 0.1240 0.3715
S7 0.2941 0.1253 0.1968
S8 0.4373 0.6744 0.8691
S9 0.4380 0.0800 0.8653
```

***

(8)
The following is a PBE calculation of crystalline CaSnS3 at its relaxed geometry, from the Materials Project database.

Its total energy is -4.61 eV per atom. As for the calculated volume: 503 Å³ per cell. Its formation energy is -1226 meV/atom. As for the energy above the most stable polymorph in this dataset: 96 meV/atom.

The structure in CIF format:
```
data_CaSnS3
_chemical_formula_sum 'Ca4 Sn4 S12'
_space_group_name_H-M_alt 'P 1 21/c 1'
_space_group_IT_number 14
_cell_length_a 7.8743
_cell_length_b 8.1119
_cell_length_c 8.6944
_cell_angle_alpha 90.00
_cell_angle_beta 115.02
_cell_angle_gamma 90.00
loop_
_space_group_symop_operation_xyz
'x,y,z'
'-x,-y,-z'
'-x,y+1/2,-z+1/2'
'x,-y+1/2,z+1/2'
loop_
_atom_site_label
_atom_site_fract_x
_atom_site_fract_y
_atom_site_fract_z
Ca1 0.1194 0.0974 0.3568
Sn1 0.3887 0.6756 0.5497
S1 0.0644 0.7206 0.9539
S2 0.2697 0.0682 0.8691
S3 0.4626 0.6128 0.8581
```

***

(9)
The following is a PBE calculation of crystalline CaSn2S5 at its relaxed geometry, from the Materials Project database.

Its total energy is -4.57 eV per atom. As for the calculated volume: 777 Å³ per cell. Its formation energy is -1049 meV/atom. As for the energy above the most stable polymorph in this dataset: 0 meV/atom.

The structure in CIF format:
```
data_CaSn2S5
_chemical_formula_sum 'Ca4 Sn8 S20'
_space_group_name_H-M_alt 'P b a m'
_space_group_IT_number 55
_cell_length_a 9.5319
_cell_length_b 10.8651
_cell_length_c 7.5043
_cell_angle_alpha 90.00
_cell_angle_beta 90.00
_cell_angle_gamma 90.00
loop_
_space_group_symop_operation_xyz
'x,y,z'
'-x,-y,-z'
'-x,-y,z'
'x,y,-z'
'x+1/2,-y+1/2,-z'
'-x+1/2,y+1/2,z'
'-x+1/2,y+1/2,-z'
'x+1/2,-y+1/2,z'
loop_
_atom_site_label
_atom_site_fract_x
_atom_site_fract_y
_atom_site_fract_z
Ca1 0.1296 0.1715 0.0000
Sn1 0.0000 0.5000 0.2359
Sn2 0.1057 0.8523 0.5000
S1 0.0000 0.0000 0.2733
S2 0.1145 0.7136 0.2271
S3 0.1401 0.4012 0.5000
S4 0.1799 0.4382 0.0000
```

***

(10)
The following is a PBE calculation of crystalline CaSn2S5 at its relaxed geometry, from the Materials Project database.

Its total energy is -4.46 eV per atom. As for the calculated volume: 980 Å³ per cell. Its formation energy is -940 meV/atom. As for the energy above the most stable polymorph in this dataset: 109 meV/atom.

The structure in CIF format:
```
data_CaSn2S5
_chemical_formula_sum 'Ca4 Sn8 S20'
_space_group_name_H-M_alt 'P n m a'
_space_group_IT_number 62
_cell_length_a 15.1745
_cell_length_b 9.8629
_cell_length_c 6.5511
_cell_angle_alpha 90.00
_cell_angle_beta 90.00
_cell_angle_gamma 90.00
loop_
_space_group_symop_operation_xyz
'x,y,z'
'-x,-y,-z'
'-x+1/2,-y,z+1/2'
'x+1/2,y,-z+1/2'
'x+1/2,-y+1/2,-z+1/2'
'-x+1/2,y+1/2,z+1/2'
'-x,y+1/2,-z'
'x,-y+1/2,z'
loop_
_atom_site_label
_atom_site_fract_x
_atom_site_fract_y
_atom_site_fract_z
Ca1 0.0305 0.2500 0.1290
Sn1 0.1725 0.5394 0.6376
S1 0.0511 0.0389 0.8247
S2 0.1008 0.7500 0.5251
S3 0.1860 0.0759 0.3023
```

***

(11)
The following is a PBE calculation of crystalline Ca3SnS5 at its relaxed geometry, from the Materials Project database.

Its total energy is -4.76 eV per atom. As for the calculated volume: 915 Å³ per cell. Its formation energy is -1632 meV/atom. As for the energy above the most stable polymorph in this dataset: 102 meV/atom.

The structure in CIF format:
```
data_Ca3SnS5
_chemical_formula_sum 'Ca12 Sn4 S20'
_space_group_name_H-M_alt 'P n m a'
_space_group_IT_number 62
_cell_length_a 12.1819
_cell_length_b 8.6187
_cell_length_c 8.7122
_cell_angle_alpha 90.00
_cell_angle_beta 90.00
_cell_angle_gamma 90.00
loop_
_space_group_symop_operation_xyz
'x,y,z'
'-x,-y,-z'
'-x+1/2,-y,z+1/2'
'x+1/2,y,-z+1/2'
'x+1/2,-y+1/2,-z+1/2'
'-x+1/2,y+1/2,z+1/2'
'-x,y+1/2,-z'
'x,-y+1/2,z'
loop_
_atom_site_label
_atom_site_fract_x
_atom_site_fract_y
_atom_site_fract_z
Ca1 0.0093 0.2500 0.1101
Ca2 0.2029 0.5112 0.3900
Sn1 0.0925 0.2500 0.6821
S1 0.0380 0.7500 0.5220
S2 0.0720 0.0445 0.8600
S3 0.2104 0.7500 0.1323
S4 0.2195 0.2500 0.2029
```

***

(12)
The following is a PBE calculation of crystalline Ca3SnS5 at its relaxed geometry, from the Materials Project database.

Its total energy is -4.81 eV per atom. As for the calculated volume: 2235 Å³ per cell. Its formation energy is -1679 meV/atom. As for the energy above the most stable polymorph in this dataset: 55 meV/atom.

The structure in CIF format:
```
data_Ca3SnS5
_chemical_formula_sum 'Ca27 Sn9 S45'
_space_group_name_H-M_alt 'R 3 m'
_space_group_IT_number 160
_space_group_name_Hall 'R 3 -2"'
_cell_length_a 8.8413
_cell_length_b 8.8413
_cell_length_c 33.0146
_cell_angle_alpha 90.00
_cell_angle_beta 90.00
_cell_angle_gamma 120.00
loop_
_atom_site_label
_atom_site_fract_x
_atom_site_fract_y
_atom_site_fract_z
Ca1 0.0195 0.5098 0.0000
Ca2 0.1695 0.3390 0.5756
Ca3 0.1855 0.3711 0.1156
Sn1 0.0000 0.0000 0.0007
Sn2 0.0000 0.0000 0.2226
Sn3 0.0000 0.0000 0.7857
S1 0.0000 0.0000 0.0710
S2 0.0000 0.0000 0.1513
S3 0.0000 0.0000 0.3776
S4 0.0000 0.0000 0.4996
S5 0.0000 0.0000 0.6401
S6 0.0000 0.0000 0.8613
S7 0.0342 0.5171 0.9097
S8 0.0544 0.5272 0.6342
S9 0.1902 0.3804 0.4222
```